# 1
# PBE UFe5Si3, relaxed
# * energy of formation: -0.4038 eV per atom
# * E (MP2020): -8.1724 eV/atom
data_UFe5Si3
_space_group_name_H-M_alt 'P 4/m m m'
_space_group_IT_number 123
_space_group_name_Hall '-P 4 2'
_cell_length_a 3.926
_cell_length_b 3.926
_cell_length_c 7.544
_cell_angle_alpha 90.00
_cell_angle_beta 90.00
_cell_angle_gamma 90.00
loop_
_atom_site_label
_atom_site_type_symbol
_atom_site_fract_x
_atom_site_fract_y
_atom_site_fract_z
_atom_site_occupancy
U1 U 0.000 0.000 0.000 1
Fe1 Fe 0.000 0.500 0.312 1
Fe2 Fe 0.500 0.500 0.500 1
Si1 Si 0.000 0.000 0.500 1
Si2 Si 0.500 0.500 0.158 1



# 2
# PBE U2FeSi3, relaxed
# * energy of formation: -0.3291 eV per atom
# * E (MP2020): -8.2173 eV/atom
data_U2FeSi3
_space_group_name_H-M_alt 'P m m 2'
_space_group_IT_number 25
_space_group_name_Hall 'P 2 -2'
_cell_length_a 3.691
_cell_length_b 4.068
_cell_length_c 6.938
_cell_angle_alpha 90.00
_cell_angle_beta 90.00
_cell_angle_gamma 90.00
loop_
_atom_site_label
_atom_site_type_symbol
_atom_site_fract_x
_atom_site_fract_y
_atom_site_fract_z
_atom_site_occupancy
U1 U 0.000 0.000 0.000 1
U2 U 0.000 0.500 0.481 1
Fe1 Fe 0.500 0.000 0.320 1
Si1 Si 0.500 0.000 0.652 1
Si2 Si 0.500 0.500 0.159 1
Si3 Si 0.500 0.500 0.822 1



# 3
# PBE U2Fe3Si5, relaxed
# * energy of formation: -0.4723 eV per atom
# * E (MP2020): -7.9842 eV/atom
data_U2Fe3Si5
_space_group_name_H-M_alt 'C 1 2/c 1'
_space_group_IT_number 15
_space_group_name_Hall '-C 2yc'
_cell_length_a 10.923
_cell_length_b 11.388
_cell_length_c 5.474
_cell_angle_alpha 90.00
_cell_angle_beta 119.62
_cell_angle_gamma 90.00
loop_
_atom_site_label
_atom_site_type_symbol
_atom_site_fract_x
_atom_site_fract_y
_atom_site_fract_z
_atom_site_occupancy
U1 U 0.230 0.139 0.225 1
Fe1 Fe 0.000 0.500 0.250 1
Fe2 Fe 0.104 0.144 0.642 1
Si1 Si 0.000 0.013 0.250 1
Si2 Si 0.000 0.276 0.250 1
Si3 Si 0.000 0.293 0.750 1
Si4 Si 0.163 0.404 0.168 1



# 4
# PBE U3Fe2Si7, relaxed
# * energy of formation: -0.4051 eV per atom
# * E (MP2020): -7.8044 eV/atom
data_U3Fe2Si7
_space_group_name_H-M_alt 'C m m m'
_space_group_IT_number 65
_space_group_name_Hall '-C 2 2'
_cell_length_a 3.995
_cell_length_b 24.213
_cell_length_c 4.025
_cell_angle_alpha 90.00
_cell_angle_beta 90.00
_cell_angle_gamma 90.00
loop_
_atom_site_label
_atom_site_type_symbol
_atom_site_fract_x
_atom_site_fract_y
_atom_site_fract_z
_atom_site_occupancy
U1 U 0.000 0.000 0.000 1
U2 U 0.000 0.315 0.500 1
Fe1 Fe 0.000 0.128 0.000 1
Si1 Si 0.000 0.087 0.500 1
Si2 Si 0.000 0.222 0.000 1
Si3 Si 0.000 0.414 0.000 1
Si4 Si 0.000 0.500 0.500 1



# 5
# PBE UFe10Si2, relaxed
# * energy of formation: -0.1425 eV per atom
# * E (MP2020): -8.3611 eV/atom
# * relative energy among the computed polymorphs: 0.072 eV/atom
data_UFe10Si2
_space_group_name_H-M_alt 'F m m m'
_space_group_IT_number 69
_space_group_name_Hall '-F 2 2'
_cell_length_a 4.760
_cell_length_b 11.611
_cell_length_c 11.632
_cell_angle_alpha 90.00
_cell_angle_beta 90.00
_cell_angle_gamma 90.00
loop_
_atom_site_label
_atom_site_type_symbol
_atom_site_fract_x
_atom_site_fract_y
_atom_site_fract_z
_atom_site_occupancy
U1 U 0.000 0.000 0.000 1
Fe1 Fe 0.000 0.108 0.389 1
Fe2 Fe 0.000 0.177 0.179 1
Fe3 Fe 0.250 0.250 0.000 1
Si1 Si 0.250 0.000 0.250 1



# 6
# PBE U6Fe16Si7, relaxed
# * energy of formation: -0.3791 eV per atom
# * E (MP2020): -8.6980 eV/atom
# * relative energy among the computed polymorphs: 0.000 eV/atom
data_U6Fe16Si7
_space_group_name_H-M_alt 'F -4 3 m'
_space_group_IT_number 216
_space_group_name_Hall 'F -4 2 3'
_cell_length_a 11.617
_cell_length_b 11.617
_cell_length_c 11.617
_cell_angle_alpha 90.00
_cell_angle_beta 90.00
_cell_angle_gamma 90.00
loop_
_atom_site_label
_atom_site_type_symbol
_atom_site_fract_x
_atom_site_fract_y
_atom_site_fract_z
_atom_site_occupancy
U1 U 0.000 0.000 0.218 1
Fe1 Fe 0.121 0.121 0.621 1
Fe2 Fe 0.123 0.123 0.377 1
Fe3 Fe 0.159 0.159 0.841 1
Fe4 Fe 0.175 0.175 0.175 1
Si1 Si 0.000 0.000 0.500 1
Si2 Si 0.003 0.250 0.750 1



# 7
# PBE U6Fe16Si7, relaxed
# * energy of formation: -0.3679 eV per atom
# * E (MP2020): -8.6868 eV/atom
# * relative energy among the computed polymorphs: 0.011 eV/atom
data_U6Fe16Si7
_space_group_name_H-M_alt 'F m -3 m'
_space_group_IT_number 225
_space_group_name_Hall '-F 4 2 3'
_cell_length_a 11.622
_cell_length_b 11.622
_cell_length_c 11.622
_cell_angle_alpha 90.00
_cell_angle_beta 90.00
_cell_angle_gamma 90.00
loop_
_atom_site_label
_atom_site_type_symbol
_atom_site_fract_x
_atom_site_fract_y
_atom_site_fract_z
_atom_site_occupancy
U1 U 0.000 0.000 0.218 1
Fe1 Fe 0.122 0.122 0.378 1
Fe2 Fe 0.171 0.171 0.171 1
Si1 Si 0.000 0.000 0.500 1
Si2 Si 0.000 0.250 0.250 1



# 8
# PBE V5Fe5Si6, relaxed
# * energy of formation: -0.4462 eV per atom
# * E (MP2020): -7.9663 eV/atom
data_V5Fe5Si6
_space_group_name_H-M_alt 'A m m 2'
_space_group_IT_number 38
_space_group_name_Hall 'A 2 -2'
_cell_length_a 4.723
_cell_length_b 11.851
_cell_length_c 6.924
_cell_angle_alpha 90.00
_cell_angle_beta 90.00
_cell_angle_gamma 90.00
loop_
_atom_site_label
_atom_site_type_symbol
_atom_site_fract_x
_atom_site_fract_y
_atom_site_fract_z
_atom_site_occupancy
V1 V 0.000 0.000 0.000 1
V2 V 0.000 0.114 0.340 1
V3 V 0.500 0.111 0.113 1
Fe1 Fe 0.250 0.168 0.735 1
Fe2 Fe 0.500 0.000 0.472 1
Si1 Si 0.000 0.000 0.636 1
Si2 Si 0.000 0.206 0.027 1
Si3 Si 0.500 0.000 0.813 1
Si4 Si 0.500 0.198 0.437 1